DFT (PBE+U) results for a geometry-optimized Nd4Mo31O56 structure.

Cell and atoms, written as POSCAR:
```
Nd4Mo31O56
1.0
10.7728 0.0000 0.0000
-5.3300 11.2732 0.0000
-0.0336 -6.9113 10.4885
Nd Mo O
4 31 56
Cartesian
0.0000 0.0000 0.0000 Nd
-0.4859 0.3583 7.6778 Nd
-0.3728 7.6738 5.0255 Nd
4.8699 3.9426 2.4560 Nd
-4.4680 6.9915 4.0191 Mo
-1.1029 2.9403 1.4108 Mo
-0.9031 1.0396 3.9436 Mo
-2.1659 4.0937 4.1724 Mo
-1.9460 6.0029 1.4608 Mo
1.7658 -3.1278 6.7853 Mo
-2.0750 9.5384 0.1858 Mo
-1.9955 4.4192 7.9190 Mo
1.6917 3.9793 0.0853 Mo
1.7866 2.1469 2.8062 Mo
0.6300 3.4368 5.5228 Mo
0.8159 5.1821 2.9178 Mo
4.2618 1.2507 0.2697 Mo
4.2947 -0.4926 2.9018 Mo
0.6637 8.5581 1.3380 Mo
0.7731 3.3907 9.2442 Mo
4.2348 -0.5357 6.5324 Mo
4.4283 -2.2390 9.2028 Mo
3.2726 0.6786 9.4680 Mo
3.4192 2.5616 6.7385 Mo
7.0260 -4.8347 9.3516 Mo
7.1159 0.2686 1.5690 Mo
3.2343 6.0923 5.4798 Mo
3.4119 7.8766 2.7597 Mo
7.0236 0.5219 5.3119 Mo
7.1760 -1.3043 8.1523 Mo
6.0234 6.9709 0.3245 Mo
6.1668 1.7370 8.1479 Mo
9.6960 -2.2090 5.5648 Mo
6.0124 5.1231 6.6331 Mo
9.8097 -3.9058 8.2045 Mo
-4.0678 1.9765 10.2136 O
-3.7771 3.4538 7.3010 O
-3.7230 6.9533 2.1074 O
0.6321 0.4649 3.0202 O
0.8018 2.1172 0.8157 O
0.7259 -1.4706 6.4687 O
-3.0959 6.1250 7.2077 O
0.8404 -3.1360 8.6583 O
-2.8284 7.7042 4.9307 O
-0.1870 1.5931 5.8315 O
-2.7822 4.4389 9.9701 O
-0.1328 4.8247 1.0180 O
-1.1770 4.3290 5.9451 O
2.7049 -1.2211 1.9715 O
-1.1109 5.9401 3.5075 O
-1.1373 2.5122 8.7234 O
-1.1178 7.8198 0.7195 O
3.6210 -0.8577 4.7854 O
3.7504 -2.5289 7.1248 O
3.4893 -3.8563 10.0690 O
-0.1958 8.9432 3.1410 O
2.3153 2.6453 4.8428 O
-0.1678 5.2809 8.8600 O
1.3501 1.4244 9.8791 O
2.5281 4.0814 2.1510 O
3.7261 1.4672 2.3530 O
2.6905 -1.1744 9.7965 O
1.2644 5.4192 4.9998 O
2.8153 0.5835 7.4676 O
1.5820 3.4082 7.3391 O
1.5953 6.9549 2.1666 O
6.1404 0.3518 3.3748 O
6.1508 2.0332 0.9211 O
2.2988 9.5878 1.9318 O
6.1420 -1.2715 6.2642 O
6.2986 -2.9833 8.6508 O
2.3821 4.5101 10.1258 O
5.2095 1.3515 6.2356 O
5.2578 5.1630 0.6323 O
2.6557 7.9878 4.7694 O
4.2621 7.8376 0.7671 O
4.2757 2.4815 8.7893 O
4.2816 4.3406 6.0766 O
8.1320 -4.7288 7.5134 O
4.3919 6.0330 3.5196 O
9.0608 0.9267 1.8992 O
8.8279 -3.9434 9.9955 O
8.8512 -0.4405 4.8288 O
7.8504 0.5359 7.3916 O
5.2076 8.5937 3.6935 O
7.7077 -0.7782 10.0419 O
6.7189 5.0010 4.6287 O
5.2586 5.5011 8.5112 O
8.1109 2.2021 4.4390 O
9.1062 -1.9364 7.6483 O
8.0641 4.1243 2.2300 O
```

Properties
* ΔE_f: -1866 meV/atom
* final energy: -7.302 eV/atom
* relative energy among the computed polymorphs: 0 meV per atom
* total moment: 78.00 μB/f.u.

---

DFT (PBE+U) results for a geometry-optimized Nd5Mo3O16 structure.

Cell and atoms, written as POSCAR:
```
Nd5Mo3O16
1.0
11.1378 0.0000 0.0000
0.0000 11.1378 0.0000
0.0000 0.0000 11.1378
Nd Mo O
20 12 64
Cartesian
0.0000 0.0000 0.0000 Nd
0.0000 0.0000 5.5689 Nd
0.0000 5.5689 0.0000 Nd
0.0000 5.5689 5.5689 Nd
0.1139 2.7844 2.7844 Nd
2.7844 0.1139 2.7844 Nd
2.7844 2.7844 0.1139 Nd
2.7844 2.7844 5.4550 Nd
2.7844 5.4550 2.7844 Nd
5.4550 2.7844 2.7844 Nd
5.5689 0.0000 0.0000 Nd
5.5689 0.0000 5.5689 Nd
5.5689 5.5689 0.0000 Nd
5.5689 5.5689 5.5689 Nd
5.6828 8.3533 8.3533 Nd
8.3533 5.6828 8.3533 Nd
8.3533 8.3533 5.6828 Nd
8.3533 8.3533 11.0239 Nd
8.3533 11.0239 8.3533 Nd
11.0239 8.3533 8.3533 Nd
0.0000 2.7844 8.3533 Mo
0.0000 8.3533 2.7844 Mo
2.7844 0.0000 8.3533 Mo
2.7844 5.5689 8.3533 Mo
2.7844 8.3533 0.0000 Mo
2.7844 8.3533 5.5689 Mo
5.5689 2.7844 8.3533 Mo
5.5689 8.3533 2.7844 Mo
8.3533 0.0000 2.7844 Mo
8.3533 2.7844 0.0000 Mo
8.3533 2.7844 5.5689 Mo
8.3533 5.5689 2.7844 Mo
0.9396 1.8906 7.0574 O
0.9396 3.6783 9.6493 O
0.9396 7.0574 3.6783 O
0.9396 9.6493 1.8906 O
1.3476 1.3476 1.3476 O
1.3476 1.3476 4.2213 O
1.3476 4.2213 1.3476 O
1.3476 4.2213 4.2213 O
1.4885 6.5085 9.2472 O
1.4885 7.4595 6.5085 O
1.4885 9.2472 10.1982 O
1.4885 10.1982 7.4595 O
1.8906 0.9396 9.6493 O
1.8906 4.6293 7.0574 O
1.8906 7.0574 0.9396 O
1.8906 9.6493 4.6293 O
3.6783 0.9396 7.0574 O
3.6783 4.6293 9.6493 O
3.6783 7.0574 4.6293 O
3.6783 9.6493 0.9396 O
4.0804 6.5085 7.4595 O
4.0804 7.4595 10.1982 O
4.0804 9.2472 6.5085 O
4.0804 10.1982 9.2472 O
4.2213 1.3476 1.3476 O
4.2213 1.3476 4.2213 O
4.2213 4.2213 1.3476 O
4.2213 4.2213 4.2213 O
4.6293 1.8906 9.6493 O
4.6293 3.6783 7.0574 O
4.6293 7.0574 1.8906 O
4.6293 9.6493 3.6783 O
6.5085 1.4885 7.4595 O
6.5085 4.0804 9.2472 O
6.5085 7.4595 4.0804 O
6.5085 9.2472 1.4885 O
6.9165 6.9165 6.9165 O
6.9165 6.9165 9.7901 O
6.9165 9.7901 6.9165 O
6.9165 9.7901 9.7901 O
7.0574 0.9396 1.8906 O
7.0574 1.8906 4.6293 O
7.0574 3.6783 0.9396 O
7.0574 4.6293 3.6783 O
7.4595 1.4885 10.1982 O
7.4595 4.0804 6.5085 O
7.4595 6.5085 1.4885 O
7.4595 10.1982 4.0804 O
9.2472 1.4885 6.5085 O
9.2472 4.0804 10.1982 O
9.2472 6.5085 4.0804 O
9.2472 10.1982 1.4885 O
9.6493 0.9396 3.6783 O
9.6493 1.8906 0.9396 O
9.6493 3.6783 4.6293 O
9.6493 4.6293 1.8906 O
9.7901 6.9165 6.9165 O
9.7901 6.9165 9.7901 O
9.7901 9.7901 6.9165 O
9.7901 9.7901 9.7901 O
10.1982 1.4885 9.2472 O
10.1982 4.0804 7.4595 O
10.1982 7.4595 1.4885 O
10.1982 9.2472 4.0804 O
```

Properties
* ΔE_f: -3013 meV/atom
* final energy: -7.802 eV/atom
* total moment: 1.00 μB/f.u.

---

DFT (PBE+U) results for a geometry-optimized Nd4Mo31O56 structure.

Cell and atoms, written as POSCAR:
```
Nd4Mo31O56
1.0
10.1162 0.0000 0.0000
-0.0523 11.2938 0.0000
-5.0115 -5.6491 9.2802
Nd Mo O
4 31 56
Cartesian
0.0000 0.0000 0.0000 Nd
-0.0583 5.4497 4.5131 Nd
0.0417 -0.0763 9.2103 Nd
5.1592 -0.0039 4.5328 Nd
-1.5300 -0.4934 3.4535 Mo
-3.3784 -0.5219 8.0980 Mo
-3.3449 2.1129 8.0711 Mo
0.7127 3.7624 1.0845 Mo
0.8752 6.4826 1.0774 Mo
-0.7646 0.8478 5.6884 Mo
-0.6870 -1.8955 5.6851 Mo
0.7991 -1.8985 3.4427 Mo
0.8956 0.8438 3.4535 Mo
-0.7748 -4.8219 8.0410 Mo
-0.7066 3.7493 8.0738 Mo
3.4181 2.1404 1.0591 Mo
3.4713 -0.5015 1.0297 Mo
1.6641 -0.5321 5.6846 Mo
1.6586 2.0650 5.6624 Mo
3.4030 7.7483 3.4432 Mo
3.4842 5.1028 3.4461 Mo
1.6313 5.1249 8.0805 Mo
1.7073 -3.5494 8.0684 Mo
5.7781 9.4082 1.0360 Mo
5.9592 0.8956 1.1325 Mo
4.2027 6.4737 5.7209 Mo
4.3473 3.7393 5.6811 Mo
5.9243 6.4638 3.4112 Mo
5.9398 3.7153 3.4659 Mo
4.2440 0.8447 8.0263 Mo
4.3771 -1.8887 8.0937 Mo
8.4418 7.7661 1.0431 Mo
8.5201 5.1609 1.0281 Mo
6.6593 5.1802 5.7091 Mo
6.7293 7.7735 5.7041 Mo
7.6043 0.6852 4.6206 O
-5.0105 2.4823 9.2173 O
-2.3850 6.4019 4.4507 O
-2.3811 -2.0150 4.6376 O
-0.8621 9.3049 2.2216 O
-0.7544 0.7389 2.2071 O
-0.7248 3.8507 2.3370 O
-0.7525 6.4820 2.3734 O
-1.6912 -3.4485 6.7854 O
-1.7148 2.2038 6.9763 O
-1.5448 5.0888 6.7150 O
-1.5271 -0.5772 7.0543 O
-2.5870 -4.8935 9.0732 O
-0.0330 2.3640 4.4933 O
2.4782 3.6752 0.0368 O
0.0048 7.9537 4.5695 O
-2.4160 3.6535 9.1035 O
1.5859 -0.5703 2.0471 O
2.6809 6.3993 0.0469 O
1.7692 2.2117 2.1400 O
1.6168 5.1126 2.4069 O
1.7557 7.8472 2.3476 O
0.7714 6.4332 6.7251 O
0.8352 3.6883 6.7885 O
0.7988 0.7653 7.0409 O
0.8799 -1.9720 6.9583 O
2.5116 -2.0085 4.4612 O
2.3992 6.3539 4.6797 O
0.0384 -3.1488 9.1654 O
0.0349 2.3145 9.1963 O
2.7266 0.7184 4.4476 O
2.6399 3.6369 4.6529 O
4.2431 3.7088 2.1607 O
4.3106 6.4582 2.1132 O
4.2187 9.3441 2.3059 O
4.2924 0.8147 2.3851 O
3.4109 2.2025 6.7992 O
3.3637 -3.4426 6.9859 O
3.5519 -0.5710 6.7139 O
2.4219 0.7609 9.0636 O
3.5110 5.0791 7.0470 O
7.5041 9.3164 0.0249 O
5.0983 2.3078 4.5676 O
5.0708 8.1208 4.5652 O
2.6686 -1.9873 9.0950 O
7.7445 0.7576 0.0424 O
6.6358 5.1008 2.0569 O
6.6023 2.2547 2.2438 O
6.6506 -0.5491 2.4231 O
6.8080 7.8490 2.1382 O
5.8927 0.8023 6.7391 O
5.9457 -1.9516 6.8216 O
5.8025 6.5083 7.0595 O
5.9237 3.6934 6.9473 O
7.5156 3.7778 4.4847 O
5.1123 -3.3213 9.2270 O
```

Properties
* ΔE_f: -1757 meV/atom
* final energy: -7.192 eV/atom
* relative energy among the computed polymorphs: 109 meV per atom
* total moment: 12.00 μB/f.u.

---

DFT (PBE+U) results for a geometry-optimized Nd2Mo3O12 structure.

Cell and atoms, written as POSCAR:
```
Nd2Mo3O12
1.0
3.8051 -5.9037 0.0000
3.8051 5.9037 0.0000
-3.7929 0.0000 11.3818
Nd Mo O
4 6 24
Cartesian
0.9465 1.4527 1.0115 Nd
-0.9500 -1.4527 6.7024 Nd
4.7673 1.4527 4.6794 Nd
2.8709 -1.4527 10.3703 Nd
2.8569 4.4180 2.8454 Mo
0.9722 1.4490 4.8477 Mo
-0.9242 -1.4490 10.5386 Mo
4.7416 1.4490 0.8432 Mo
2.8452 -1.4490 6.5341 Mo
0.9605 -4.4180 8.5363 Mo
0.7226 2.2955 3.2903 O
2.3979 3.4920 1.3156 O
-0.5947 0.5011 5.1963 O
-1.4694 0.4529 8.1540 O
-2.4911 -0.5011 10.8872 O
0.4271 -0.4529 2.4631 O
1.3254 2.6151 6.1516 O
3.3159 3.4920 4.3753 O
0.5956 2.6151 10.9211 O
3.2121 0.5435 1.1353 O
-1.1739 -2.2955 8.9812 O
2.5017 0.5435 4.5556 O
1.3157 -0.5435 6.8262 O
4.9913 2.2955 2.4006 O
0.6053 -0.5435 10.2465 O
3.2218 -2.6151 0.4607 O
0.5015 -3.4920 7.0065 O
2.4920 -2.6151 5.2302 O
3.3903 0.4529 8.9187 O
6.3085 0.5011 0.4946 O
5.2867 -0.4529 3.2278 O
4.4121 -0.5011 6.1855 O
1.4194 -3.4920 10.0662 O
3.0948 -2.2955 8.0914 O
```

Properties
* ΔE_f: -2613 meV/atom
* final energy: -7.531 eV/atom

---

DFT (PBE+U) results for a geometry-optimized Nd2MoO6 structure.

Cell and atoms, written as POSCAR:
```
Nd2MoO6
1.0
-2.8690 2.8690 16.0050
2.8690 -2.8690 16.0050
2.8690 2.8690 -16.0050
Nd Mo O
8 4 24
Cartesian
2.8690 1.4345 -6.7986 Nd
2.8690 1.4345 -1.2039 Nd
0.0000 1.4345 1.2039 Nd
0.0000 1.4345 6.7986 Nd
2.8690 1.4345 9.2064 Nd
2.8690 1.4345 14.8010 Nd
0.0000 1.4345 17.2089 Nd
0.0000 1.4345 22.8035 Nd
2.8690 -1.4345 12.0037 Mo
2.8690 1.4345 4.0012 Mo
0.0000 1.4345 12.0037 Mo
0.0000 4.3035 4.0012 Mo
4.3035 0.0365 0.0000 O
4.7401 -0.4650 2.8379 O
0.9695 -0.4366 5.1645 O
1.8711 0.4650 2.8379 O
3.8385 0.4366 5.1645 O
1.4710 2.8690 -8.0025 O
1.4710 0.0000 8.0025 O
0.9695 2.4324 -5.1645 O
1.8711 -0.4650 13.1670 O
0.9695 0.4366 10.8404 O
1.8711 3.3340 -2.8379 O
1.4345 2.8325 0.0000 O
1.4345 0.0365 16.0050 O
0.9979 -0.4650 18.8429 O
1.8995 2.4324 5.1645 O
0.9979 3.3340 2.8379 O
1.8995 0.4366 21.1695 O
1.3980 2.8690 8.0025 O
1.3980 0.0000 24.0075 O
-0.9695 2.4324 10.8404 O
0.9979 2.4040 13.1670 O
1.8995 3.3056 10.8404 O
-1.8711 3.3340 13.1670 O
-1.4345 2.8325 16.0050 O
```

Properties
* ΔE_f: -3106 meV/atom
* final energy: -7.855 eV/atom
* total moment: 0.00 μB/f.u.

---

DFT (PBE+U) results for a geometry-optimized NdSbMo2O9 structure.

Cell and atoms, written as POSCAR:
```
NdSbMo2O9
1.0
6.6341 -7.3504 0.0000
6.6341 7.3504 0.0000
-6.0957 0.0000 9.2285
Nd Sb Mo O
4 4 8 36
Cartesian
2.0623 5.5207 6.9214 Nd
5.1102 2.5652 2.3071 Nd
2.0623 -2.5652 6.9214 Nd
5.1102 -5.5207 2.3071 Nd
2.0329 0.1837 4.2669 Sb
-1.0149 -0.1837 8.8812 Sb
8.1875 0.1837 0.3473 Sb
5.1396 -0.1837 4.9616 Sb
1.8828 1.5444 0.2436 Mo
-0.9515 2.7500 6.4162 Mo
-1.1651 -1.5444 4.8579 Mo
2.0963 -2.7500 1.8020 Mo
5.0762 2.7500 7.4266 Mo
8.3376 1.5444 4.3707 Mo
8.1241 -2.7500 2.8123 Mo
5.2898 -1.5444 8.9849 Mo
1.7035 4.9850 4.5321 O
0.7644 1.2904 1.6269 O
-4.4301 0.2341 8.3077 O
2.7679 3.4611 2.3135 O
-1.3823 -0.2341 3.6934 O
5.1090 4.2537 0.5704 O
0.6249 3.5118 6.6718 O
-0.9973 1.1757 7.3926 O
3.6687 1.3542 0.7004 O
-2.2835 -1.2904 6.2412 O
5.1114 4.2537 4.0438 O
8.5169 4.9850 0.0821 O
2.0506 -1.1757 2.7783 O
3.4998 3.5118 7.1710 O
0.6208 -1.3542 5.3146 O
3.9508 0.8563 3.7101 O
7.4525 3.4611 2.3008 O
6.2696 0.8563 0.9042 O
0.9029 -0.8563 8.3243 O
-0.2800 -3.4611 6.9278 O
3.2218 -0.8563 5.5185 O
6.5518 1.3542 3.9139 O
3.6728 -3.5118 2.0575 O
5.1219 1.1757 6.4502 O
-1.3444 -4.9850 9.1464 O
2.0611 -4.2537 5.1847 O
9.4560 1.2904 2.9874 O
3.5039 -1.3542 8.5282 O
8.1698 -1.1757 1.8359 O
6.5477 -3.5118 2.5567 O
2.0635 -4.2537 8.6581 O
8.5548 0.2341 5.5351 O
4.4047 -3.4611 6.9150 O
11.6027 -0.2341 0.9209 O
6.4082 -1.2904 7.6016 O
5.4690 -4.9850 4.6964 O
```

Properties
* ΔE_f: -2372 meV/atom
* final energy: -7.182 eV/atom
* total moment: 0.00 μB/f.u.

---

Copy entry 4 word for word.
DFT (PBE+U) results for a geometry-optimized Nd2Mo3O12 structure.

Cell and atoms, written as POSCAR:
```
Nd2Mo3O12
1.0
3.8051 -5.9037 0.0000
3.8051 5.9037 0.0000
-3.7929 0.0000 11.3818
Nd Mo O
4 6 24
Cartesian
0.9465 1.4527 1.0115 Nd
-0.9500 -1.4527 6.7024 Nd
4.7673 1.4527 4.6794 Nd
2.8709 -1.4527 10.3703 Nd
2.8569 4.4180 2.8454 Mo
0.9722 1.4490 4.8477 Mo
-0.9242 -1.4490 10.5386 Mo
4.7416 1.4490 0.8432 Mo
2.8452 -1.4490 6.5341 Mo
0.9605 -4.4180 8.5363 Mo
0.7226 2.2955 3.2903 O
2.3979 3.4920 1.3156 O
-0.5947 0.5011 5.1963 O
-1.4694 0.4529 8.1540 O
-2.4911 -0.5011 10.8872 O
0.4271 -0.4529 2.4631 O
1.3254 2.6151 6.1516 O
3.3159 3.4920 4.3753 O
0.5956 2.6151 10.9211 O
3.2121 0.5435 1.1353 O
-1.1739 -2.2955 8.9812 O
2.5017 0.5435 4.5556 O
1.3157 -0.5435 6.8262 O
4.9913 2.2955 2.4006 O
0.6053 -0.5435 10.2465 O
3.2218 -2.6151 0.4607 O
0.5015 -3.4920 7.0065 O
2.4920 -2.6151 5.2302 O
3.3903 0.4529 8.9187 O
6.3085 0.5011 0.4946 O
5.2867 -0.4529 3.2278 O
4.4121 -0.5011 6.1855 O
1.4194 -3.4920 10.0662 O
3.0948 -2.2955 8.0914 O
```

Properties
* ΔE_f: -2613 meV/atom
* final energy: -7.531 eV/atom

---

Q: Which formula does entry 1 have?
A: Nd4Mo31O56